(1)
A plane-wave DFT calculation with PBE-GGA was carried out for a relaxed structure of Na2Y2Ta2Si3S3O24.

Output
M_tot, Bohr magnetons per cell: 0.000
Energy of formation, meV per atom: -2790
Total energy after the MP2020 corrections, eV per atom: -7.9767
Raw total energy, Ha/atom: -0.276

a = 9.080 Å, b = 9.095 Å, c = 23.500 Å
α = 91.32°, β = 90.18°, γ = 119.69°
Space group P1 (No. 1)
One atom of each set of equivalent atoms:
Na  0.000  0.000  0.000 x1
Na  0.027  0.999  0.503 x1
Na  0.335  0.666  0.667 x1
Na  0.376  0.682  0.175 x1
Na  0.663  0.349  0.347 x1
Na  0.714  0.353  0.836 x1
Y  0.014  0.027  0.863 x1
Y  0.040  0.028  0.364 x1
Y  0.358  0.696  0.530 x1
Y  0.369  0.700  0.028 x1
Y  0.682  0.365  0.197 x1
Y  0.704  0.370  0.695 x1
Ta  0.025  0.028  0.155 x1
Ta  0.035  0.041  0.650 x1
Ta  0.348  0.701  0.821 x1
Ta  0.365  0.684  0.329 x1
Ta  0.674  0.371  0.490 x1
Ta  0.708  0.379  0.982 x1
Si  0.033  0.322  0.761 x1
Si  0.072  0.696  0.927 x1
Si  0.314  0.328  0.260 x1
Si  0.375  0.993  0.427 x1
Si  0.398  0.360  0.595 x1
Si  0.646  0.988  0.927 x1
Si  0.656  0.693  0.429 x1
Si  0.697  0.655  0.094 x1
Si  0.981  0.654  0.594 x1
S  0.041  0.744  0.255 x1
S  0.060  0.409  0.423 x1
S  0.310  0.017  0.758 x1
S  0.372  0.408  0.924 x1
S  0.390  0.071  0.093 x1
S  0.704  0.074  0.592 x1
S  0.723  0.739  0.758 x1
S  0.731  0.014  0.257 x1
S  0.976  0.346  0.092 x1
O  0.008  0.814  0.307 x1
O  0.025  0.221  0.815 x1
O  0.033  0.239  0.414 x1
O  0.038  0.850  0.920 x1
O  0.049  0.213  0.703 x1
O  0.051  0.853  0.204 x1
O  0.148  0.487  0.086 x1
O  0.159  0.520  0.372 x1
O  0.161  0.481  0.475 x1
O  0.164  0.699  0.984 x1
O  0.167  0.666  0.869 x1
O  0.174  0.699  0.588 x1
O  0.187  0.217  0.201 x1
O  0.203  0.991  0.706 x1
O  0.204  0.743  0.258 x1
O  0.207  0.175  0.600 x1
O  0.215  0.059  0.101 x1
O  0.215  0.514  0.769 x1
O  0.219  0.218  0.313 x1
O  0.224  0.034  0.420 x1
O  0.235  0.037  0.810 x1
O  0.236  0.234  0.917 x1
O  0.321  0.852  0.764 x1
O  0.323  0.518  0.265 x1
O  0.341  0.877  0.480 x1
O  0.345  0.477  0.977 x1
O  0.356  0.896  0.088 x1
O  0.360  0.511  0.589 x1
O  0.387  0.881  0.367 x1
O  0.396  0.515  0.874 x1
O  0.466  0.172  0.042 x1
O  0.484  0.157  0.753 x1
O  0.491  0.147  0.145 x1
O  0.492  0.330  0.536 x1
O  0.498  0.365  0.651 x1
O  0.503  0.355  0.256 x1
O  0.522  0.885  0.869 x1
O  0.524  0.658  0.369 x1
O  0.536  0.399  0.931 x1
O  0.537  0.684  0.092 x1
O  0.553  0.730  0.765 x1
O  0.559  0.176  0.435 x1
O  0.561  0.855  0.260 x1
O  0.564  0.901  0.587 x1
O  0.565  0.878  0.982 x1
O  0.566  0.709  0.483 x1
O  0.650  0.175  0.939 x1
O  0.661  0.510  0.432 x1
O  0.685  0.149  0.645 x1
O  0.686  0.548  0.148 x1
O  0.691  0.564  0.754 x1
O  0.709  0.161  0.249 x1
O  0.718  0.549  0.036 x1
O  0.728  0.177  0.542 x1
O  0.807  0.840  0.708 x1
O  0.821  0.993  0.205 x1
O  0.825  0.813  0.810 x1
O  0.830  0.038  0.308 x1
O  0.839  0.848  0.418 x1
O  0.840  0.032  0.922 x1
O  0.854  0.547  0.536 x1
O  0.867  0.062  0.598 x1
O  0.867  0.322  0.040 x1
O  0.873  0.353  0.758 x1
O  0.876  0.846  0.103 x1
O  0.878  0.512  0.933 x1
O  0.897  0.407  0.424 x1
O  0.898  0.367  0.144 x1
O  0.900  0.545  0.648 x1
O  0.901  0.571  0.247 x1
O  0.982  0.840  0.604 x1
O  0.985  0.182  0.098 x1



(2)
A plane-wave DFT calculation with PBE-GGA was carried out for a relaxed structure of Zr5Si3N.

Output
Energy of formation, meV per atom: -1120
Total energy after the MP2020 corrections, eV per atom: -8.6033
Raw total energy, Ha/atom: -0.315

a = 7.9542 Å, b = 7.9542 Å, c = 5.6345 Å
α = 90.00°, β = 90.00°, γ = 120.00°
Space group P6_3/mcm (No. 193)
One atom of each set of equivalent atoms:
Zr  0.0000  0.2341  0.2500 x6
Zr  0.3333  0.6667  0.0000 x4
Si  0.0000  0.4038  0.7500 x6
N  0.0000  0.0000  0.0000 x2



(3)
A plane-wave DFT calculation with PBE-GGA was carried out for a relaxed structure of SrEuGe4O12.

Output
M_tot, Bohr magnetons per cell: 2.935
Energy of formation, meV per atom: -2007
Total energy after the MP2020 corrections, eV per atom: -6.9969
Raw total energy, Ha/atom: -0.240

a = 5.373 Å, b = 5.373 Å, c = 7.634 Å
α = 90.00°, β = 90.00°, γ = 90.00°
Space group P4/mmm (No. 123)
One atom of each set of equivalent atoms:
Sr  0.000  0.000  0.000 x1
Eu  0.500  0.500  0.500 x1
Ge  0.000  0.500  0.246 x4
O  0.000  0.500  0.000 x2
O  0.000  0.500  0.500 x2
O  0.255  0.255  0.257 x8



(4)
A plane-wave DFT calculation with PBE-GGA was carried out for a relaxed structure of GaNi12B8.

Output
M_tot, Bohr magnetons per cell: 0.002
Energy of formation, meV per atom: -291
Raw total energy, Ha/atom: -0.231

a = 10.586 Å, b = 14.547 Å, c = 14.571 Å
α = 90.00°, β = 90.00°, γ = 90.00°
Space group Cmce (No. 64)
One atom of each set of equivalent atoms:
Ga  0.000  0.000  0.000 x4
Ga  0.000  0.232  0.261 x8
Ni  0.000  0.076  0.421 x8
Ni  0.000  0.117  0.130 x8
Ni  0.000  0.137  0.875 x8
Ni  0.131  0.069  0.565 x16
Ni  0.132  0.081  0.279 x16
Ni  0.133  0.237  0.604 x16
Ni  0.135  0.217  0.412 x16
Ni  0.136  0.111  0.732 x16
Ni  0.168  0.009  0.868 x16
Ni  0.168  0.133  0.998 x16
Ni  0.250  0.236  0.250 x8
B  0.000  0.010  0.794 x8
B  0.000  0.024  0.673 x8
B  0.000  0.143  0.639 x8
B  0.000  0.174  0.518 x8
B  0.000  0.205  0.002 x8
B  0.190  0.075  0.421 x16
B  0.202  0.138  0.151 x16
B  0.211  0.155  0.858 x16
B  0.229  0.000  0.000 x8



(5)
A plane-wave DFT calculation with PBE-GGA was carried out for a relaxed structure of CeNiAs.

Output
Energy of formation, meV per atom: -1021
Raw total energy, Ha/atom: -0.238

a = 4.1037 Å, b = 4.1037 Å, c = 3.9677 Å
α = 90.00°, β = 90.00°, γ = 120.00°
Space group P-6m2 (No. 187)
One atom of each set of equivalent atoms:
Ce  0.0000  0.0000  0.0000 x1
Ni  0.3333  0.6667  0.5000 x1
As  0.6667  0.3333  0.5000 x1



(6)
A plane-wave DFT calculation with PBE-GGA was carried out for a relaxed structure of K4Sr2SnAs4.

Output
M_tot, Bohr magnetons per cell: 0.048
Energy of formation, meV per atom: -678
Excess energy over the best structure of this formula in the dataset, eV/atom: 0.000
Raw total energy, Ha/atom: -0.127

a = 18.2985 Å, b = 18.2985 Å, c = 7.7654 Å
α = 90.00°, β = 90.00°, γ = 120.00°
Space group P6_3cm (No. 185)
One atom of each set of equivalent atoms:
K  0.0000  0.1335  0.0000 x6
K  0.0000  0.4678  0.3285 x6
K  0.1823  0.5230  0.0196 x12
Sr  0.1400  0.3298  0.3284 x12
Sn  0.0000  0.3312  0.7107 x6
As  0.0000  0.1939  0.5895 x6
As  0.0000  0.3170  0.0557 x6
As  0.1439  0.4620  0.6039 x12



(7)
A plane-wave DFT calculation with PBE-GGA was carried out for a relaxed structure of HfMg30SnO32.

Output
M_tot, Bohr magnetons per cell: 1.050
Energy of formation, meV per atom: -2896
Total energy after the MP2020 corrections, eV per atom: -6.3386
Raw total energy, Ha/atom: -0.220

a = 8.670 Å, b = 8.670 Å, c = 8.679 Å
α = 90.00°, β = 90.00°, γ = 90.00°
Space group P4/mmm (No. 123)
One atom of each set of equivalent atoms:
Hf  0.000  0.000  0.000 x1
Mg  0.000  0.260  0.250 x8
Mg  0.000  0.500  0.000 x2
Mg  0.000  0.500  0.500 x2
Mg  0.251  0.500  0.250 x8
Mg  0.253  0.253  0.000 x4
Mg  0.255  0.255  0.500 x4
Mg  0.500  0.500  0.000 x1
Mg  0.500  0.500  0.500 x1
Sn  0.000  0.000  0.500 x1
O  0.000  0.000  0.233 x2
O  0.000  0.258  0.000 x4
O  0.000  0.271  0.500 x4
O  0.000  0.500  0.247 x4
O  0.248  0.248  0.250 x8
O  0.251  0.500  0.000 x4
O  0.253  0.500  0.500 x4
O  0.500  0.500  0.250 x2